ScNi: relaxed, r²SCAN.

Unit cell a=3.153 b=3.153 c=3.153 alpha=90.00 beta=90.00 gamma=90.00
Space group Pm-3m (No. 221)
Symmetry-distinct sites (fractional):
Sc 0.000 0.000 0.000 [1 per cell]
Ni 0.500 0.500 0.500 [1 per cell]

Spin magnetization (μB per formula unit): 0.00
Energy of formation (kcal/mol of atoms): -10.29


TcF6: relaxed, r²SCAN.

Unit cell a=9.198 b=8.490 c=4.863 alpha=90.00 beta=90.00 gamma=90.00
Space group Pnma (No. 62)
Symmetry-distinct sites (fractional):
Tc 0.129 0.250 0.080 [4 per cell]
F 0.011 0.250 0.775 [4 per cell]
F 0.017 0.096 0.233 [8 per cell]
F 0.241 0.096 0.930 [8 per cell]
F 0.248 0.250 0.386 [4 per cell]

Spin magnetization (μB per formula unit): 1.00
Energy of formation (kcal/mol of atoms): -48.86
Excess energy over the best structure of this formula in the dataset (eV/atom): 0.000


Question: The highest spin magnetization belongs to which entry?
Answer: TcF6


Question: Among the records above, which one has the lowest spin magnetization?
Answer: ScNi